[1]
Zr7Se8N4: optimized geometry, PBE.

Output
- Energy relative to the elements: -1.294 eV/atom
- Total magnetization: 0.00 μB per formula unit
- Electronic total energy: -7.5937 eV/atom

Lattice parameters (Å, degrees): 7.013 7.789 8.080 107.62 102.74 100.07
Space group P1 (No. 1)
Inequivalent atoms, fractional coordinates:
Zr: 0.000 0.000 0.000 [1 per cell]
Zr: 0.113 0.719 0.279 [1 per cell]
Zr: 0.273 0.195 0.524 [1 per cell]
Zr: 0.396 0.815 0.821 [1 per cell]
Zr: 0.633 0.449 0.109 [1 per cell]
Zr: 0.748 0.940 0.274 [1 per cell]
Zr: 0.879 0.574 0.574 [1 per cell]
Se: 0.222 0.530 0.492 [1 per cell]
Se: 0.318 0.158 0.864 [1 per cell]
Se: 0.379 0.671 0.081 [1 per cell]
Se: 0.483 0.938 0.534 [1 per cell]
Se: 0.539 0.254 0.306 [1 per cell]
Se: 0.603 0.504 0.765 [1 per cell]
Se: 0.932 0.229 0.603 [1 per cell]
Se: 0.952 0.362 0.041 [1 per cell]
N: 0.059 0.780 0.806 [1 per cell]
N: 0.073 0.982 0.262 [1 per cell]
N: 0.707 0.937 0.006 [1 per cell]
N: 0.827 0.688 0.340 [1 per cell]

[2]
PrUTe6: optimized geometry, PBE.

Output
- Energy relative to the elements: -1.047 eV/atom
- Total magnetization: 0.72 μB per formula unit
- Electronic total energy: -5.0971 eV/atom

Lattice parameters (Å, degrees): 4.403 4.386 25.992 90.00 90.00 90.00
Space group Amm2 (No. 38)
Inequivalent atoms, fractional coordinates:
Pr: 0.000 0.000 0.000 [2 per cell]
U: 0.500 0.000 0.667 [2 per cell]
Te: 0.000 0.000 0.131 [2 per cell]
Te: 0.000 0.000 0.402 [2 per cell]
Te: 0.000 0.000 0.756 [2 per cell]
Te: 0.500 0.000 0.256 [2 per cell]
Te: 0.500 0.000 0.541 [2 per cell]
Te: 0.500 0.000 0.902 [2 per cell]

[3]
AlSb3Se2ClO8: optimized geometry, PBE.

Output
- Energy relative to the elements: -1.343 eV/atom
- Total magnetization: 0.00 μB per formula unit
- Electronic total energy: -5.2805 eV/atom

Lattice parameters (Å, degrees): 8.005 9.402 6.943 90.00 90.00 90.00
Space group Pmm2 (No. 25)
Inequivalent atoms, fractional coordinates:
Al: 0.000 0.000 0.000 [1 per cell]
Al: 0.500 0.500 0.336 [1 per cell]
Sb: 0.000 0.000 0.534 [1 per cell]
Sb: 0.243 0.245 0.670 [4 per cell]
Sb: 0.500 0.500 0.778 [1 per cell]
Se: 0.000 0.312 0.223 [2 per cell]
Se: 0.500 0.188 0.115 [2 per cell]
Cl: 0.000 0.500 0.755 [1 per cell]
Cl: 0.500 0.000 0.582 [1 per cell]
O: 0.000 0.125 0.203 [2 per cell]
O: 0.000 0.140 0.812 [2 per cell]
O: 0.170 0.332 0.372 [4 per cell]
O: 0.330 0.168 0.966 [4 per cell]
O: 0.500 0.362 0.529 [2 per cell]
O: 0.500 0.374 0.136 [2 per cell]

[4]
ErAlPt: optimized geometry, PBE.

Output
- Energy relative to the elements: -1.169 eV/atom
- Electronic total energy: -5.9635 eV/atom

Lattice parameters (Å, degrees): 6.834 4.427 7.700 90.00 90.00 90.00
Space group Pnma (No. 62)
Inequivalent atoms, fractional coordinates:
Er: 0.026 0.250 0.184 [4 per cell]
Al: 0.151 0.250 0.565 [4 per cell]
Pt: 0.227 0.750 0.388 [4 per cell]

[5]
NaH2N: optimized geometry, PBE.

Output
- Energy relative to the elements: -0.445 eV/atom
- Total magnetization: 0.00 μB per formula unit
- Electronic total energy: -4.4655 eV/atom

Lattice parameters (Å, degrees): 8.200 8.679 11.132 90.00 90.00 90.00
Space group Fddd (No. 70, origin choice 2)
Inequivalent atoms, fractional coordinates:
Na: 0.125 0.125 0.260 [16 per cell]
H: 0.060 0.319 0.818 [32 per cell]
N: 0.110 0.375 0.375 [16 per cell]

[6]
MgAg20Bi4O16: optimized geometry, PBE.

Output
- Energy relative to the elements: -0.697 eV/atom
- Total magnetization: 0.00 μB per formula unit
- Electronic total energy: -4.1601 eV/atom
- Energy relative to the lowest polymorph listed for this composition: 0.00 eV/f.u.

Lattice parameters (Å, degrees): 6.060 8.782 13.012 87.66 87.02 89.95
Space group P1 (No. 1)
Inequivalent atoms, fractional coordinates:
Mg: 0.000 0.000 0.000 [1 per cell]
Ag: 0.150 0.608 0.969 [1 per cell]
Ag: 0.160 0.064 0.707 [1 per cell]
Ag: 0.202 0.584 0.465 [1 per cell]
Ag: 0.239 0.155 0.204 [1 per cell]
Ag: 0.396 0.832 0.836 [1 per cell]
Ag: 0.401 0.841 0.579 [1 per cell]
Ag: 0.409 0.217 0.487 [1 per cell]
Ag: 0.442 0.860 0.335 [1 per cell]
Ag: 0.456 0.841 0.103 [1 per cell]
Ag: 0.464 0.439 0.208 [1 per cell]
Ag: 0.652 0.074 0.702 [1 per cell]
Ag: 0.664 0.610 0.973 [1 per cell]
Ag: 0.672 0.157 0.240 [1 per cell]
Ag: 0.694 0.580 0.466 [1 per cell]
Ag: 0.870 0.371 0.101 [1 per cell]
Ag: 0.874 0.836 0.831 [1 per cell]
Ag: 0.939 0.681 0.655 [1 per cell]
Ag: 0.942 0.289 0.841 [1 per cell]
Ag: 0.961 0.340 0.598 [1 per cell]
Ag: 0.982 0.365 0.338 [1 per cell]
Bi: 0.440 0.458 0.725 [1 per cell]
Bi: 0.455 0.198 0.959 [1 per cell]
Bi: 0.917 0.980 0.448 [1 per cell]
Bi: 0.957 0.743 0.217 [1 per cell]
O: 0.079 0.469 0.727 [1 per cell]
O: 0.089 0.511 0.211 [1 per cell]
O: 0.106 0.208 0.029 [1 per cell]
O: 0.279 0.990 0.455 [1 per cell]
O: 0.322 0.955 0.972 [1 per cell]
O: 0.387 0.198 0.789 [1 per cell]
O: 0.421 0.474 0.905 [1 per cell]
O: 0.438 0.448 0.544 [1 per cell]
O: 0.509 0.707 0.708 [1 per cell]
O: 0.598 0.706 0.227 [1 per cell]
O: 0.786 0.071 0.899 [1 per cell]
O: 0.858 0.226 0.467 [1 per cell]
O: 0.907 0.771 0.030 [1 per cell]
O: 0.918 0.937 0.629 [1 per cell]
O: 0.953 0.716 0.394 [1 per cell]
O: 0.960 0.008 0.273 [1 per cell]

[7]
NaCa2ZrSi2O9: optimized geometry, PBE.

Output
- Energy relative to the elements: -3.209 eV/atom
- Total magnetization: 1.00 μB per formula unit
- Electronic total energy: -7.4140 eV/atom

Lattice parameters (Å, degrees): 7.499 10.507 10.988 90.00 109.65 90.00
Space group P2_1 (No. 4)
Inequivalent atoms, fractional coordinates:
Na: 0.063 0.000 0.371 [2 per cell]
Na: 0.195 0.157 0.129 [2 per cell]
Ca: 0.052 0.379 0.353 [2 per cell]
Ca: 0.194 0.773 0.151 [2 per cell]
Ca: 0.326 0.648 0.874 [2 per cell]
Ca: 0.454 0.884 0.652 [2 per cell]
Zr: 0.304 0.281 0.846 [2 per cell]
Zr: 0.435 0.517 0.624 [2 per cell]
Si: 0.049 0.700 0.433 [2 per cell]
Si: 0.123 0.453 0.063 [2 per cell]
Si: 0.302 0.954 0.929 [2 per cell]
Si: 0.377 0.199 0.574 [2 per cell]
O: 0.010 0.683 0.753 [2 per cell]
O: 0.026 0.215 0.726 [2 per cell]
O: 0.112 0.937 0.974 [2 per cell]
O: 0.142 0.182 0.522 [2 per cell]
O: 0.151 0.827 0.508 [2 per cell]
O: 0.155 0.340 0.967 [2 per cell]
O: 0.162 0.566 0.480 [2 per cell]
O: 0.162 0.596 0.019 [2 per cell]
O: 0.229 0.421 0.213 [2 per cell]
O: 0.258 0.917 0.779 [2 per cell]
O: 0.284 0.446 0.745 [2 per cell]
O: 0.295 0.954 0.270 [2 per cell]
O: 0.378 0.100 0.965 [2 per cell]
O: 0.404 0.335 0.509 [2 per cell]
O: 0.435 0.839 0.018 [2 per cell]
O: 0.457 0.074 0.525 [2 per cell]
O: 0.461 0.206 0.732 [2 per cell]
O: 0.488 0.675 0.729 [2 per cell]

[8]
NdS3N3O12: optimized geometry, PBE.

Output
- Energy relative to the elements: -0.380 eV/atom
- Total magnetization: 12.00 μB per formula unit
- Electronic total energy: -5.2917 eV/atom

Lattice parameters (Å, degrees): 10.4468 10.4468 22.2285 90.00 90.00 120.00
Space group R32 (No. 155, hexagonal axes)
Inequivalent atoms, fractional coordinates:
Nd: 0.0000 0.0000 0.2064 [6 per cell]
S: 0.0879 0.9082 0.6423 [18 per cell]
N: 0.0833 0.1702 0.3752 [18 per cell]
O: 0.0206 0.5128 0.2747 [18 per cell]
O: 0.0692 0.9185 0.8885 [18 per cell]
O: 0.0712 0.8298 0.1765 [18 per cell]
O: 0.0953 0.9030 0.7085 [18 per cell]

[9]
Cs2Se: optimized geometry, PBE.

Output
- Energy relative to the elements: -1.106 eV/atom
- Total magnetization: 0.00 μB per formula unit
- Electronic total energy: -2.7114 eV/atom
- Energy relative to the lowest polymorph listed for this composition: 0.30 eV/f.u.

Lattice parameters (Å, degrees): 5.5050 5.5050 6.6264 90.00 90.00 120.00
Space group P-3m1 (No. 164)
Inequivalent atoms, fractional coordinates:
Cs: 0.3333 0.6667 0.2390 [2 per cell]
Se: 0.0000 0.0000 0.0000 [1 per cell]

[10]
Na6MgSi4Ge3S2O24: optimized geometry, PBE.

Output
- Energy relative to the elements: -2.415 eV/atom
- Total magnetization: 0.00 μB per formula unit
- Electronic total energy: -6.3065 eV/atom

Lattice parameters (Å, degrees): 8.765 8.800 21.898 88.58 88.95 60.19
Space group P1 (No. 1)
Inequivalent atoms, fractional coordinates:
Na: 0.000 0.000 0.000 [1 per cell]
Na: 0.000 0.361 0.498 [1 per cell]
Na: 0.286 0.352 0.988 [1 per cell]
Na: 0.290 0.709 0.498 [1 per cell]
Na: 0.314 0.023 0.907 [1 per cell]
Na: 0.322 0.653 0.166 [1 per cell]
Na: 0.325 0.023 0.410 [1 per cell]
Na: 0.350 0.696 0.826 [1 per cell]
Na: 0.601 0.055 0.826 [1 per cell]
Na: 0.646 0.355 0.740 [1 per cell]
Na: 0.648 0.360 0.247 [1 per cell]
Na: 0.656 0.712 0.005 [1 per cell]
Na: 0.657 0.998 0.499 [1 per cell]
Na: 0.922 0.401 0.164 [1 per cell]
Na: 0.952 0.715 0.082 [1 per cell]
Na: 0.977 0.057 0.338 [1 per cell]
Na: 0.980 0.689 0.579 [1 per cell]
Na: 0.991 0.309 0.825 [1 per cell]
Mg: 0.313 0.023 0.768 [1 per cell]
Mg: 0.652 0.352 0.593 [1 per cell]
Mg: 0.666 0.343 0.101 [1 per cell]
Si: 0.024 0.018 0.165 [1 per cell]
Si: 0.272 0.409 0.831 [1 per cell]
Si: 0.275 0.674 0.328 [1 per cell]
Si: 0.366 0.358 0.497 [1 per cell]
Si: 0.600 0.746 0.167 [1 per cell]
Si: 0.649 0.062 0.996 [1 per cell]
Si: 0.654 0.647 0.497 [1 per cell]
Si: 0.696 0.678 0.830 [1 per cell]
Si: 0.934 0.064 0.495 [1 per cell]
Si: 0.940 0.356 0.997 [1 per cell]
Si: 0.978 0.970 0.830 [1 per cell]
Si: 0.983 0.400 0.329 [1 per cell]
Ge: 0.298 0.011 0.270 [1 per cell]
Ge: 0.312 0.024 0.554 [1 per cell]
Ge: 0.319 0.023 0.062 [1 per cell]
Ge: 0.642 0.384 0.397 [1 per cell]
Ge: 0.664 0.332 0.889 [1 per cell]
Ge: 0.963 0.690 0.929 [1 per cell]
Ge: 0.972 0.697 0.228 [1 per cell]
Ge: 0.984 0.689 0.733 [1 per cell]
Ge: 0.997 0.672 0.433 [1 per cell]
S: 0.026 0.320 0.663 [1 per cell]
S: 0.303 0.734 0.664 [1 per cell]
S: 0.313 0.309 0.162 [1 per cell]
S: 0.358 0.647 0.998 [1 per cell]
S: 0.615 0.012 0.664 [1 per cell]
S: 0.685 0.980 0.327 [1 per cell]
O: 0.009 0.488 0.389 [1 per cell]
O: 0.014 0.849 0.893 [1 per cell]
O: 0.016 0.496 0.663 [1 per cell]
O: 0.022 0.830 0.170 [1 per cell]
O: 0.110 0.053 0.226 [1 per cell]
O: 0.117 0.219 0.718 [1 per cell]
O: 0.131 0.232 0.605 [1 per cell]
O: 0.133 0.725 0.665 [1 per cell]
O: 0.134 0.046 0.503 [1 per cell]
O: 0.138 0.176 0.004 [1 per cell]
O: 0.139 0.723 0.386 [1 per cell]
O: 0.144 0.998 0.824 [1 per cell]
O: 0.147 0.484 0.162 [1 per cell]
O: 0.148 0.498 0.891 [1 per cell]
O: 0.159 0.978 0.104 [1 per cell]
O: 0.160 0.199 0.323 [1 per cell]
O: 0.161 0.519 0.487 [1 per cell]
O: 0.178 0.669 0.996 [1 per cell]
O: 0.181 0.653 0.266 [1 per cell]
O: 0.190 0.542 0.771 [1 per cell]
O: 0.286 0.840 0.605 [1 per cell]
O: 0.287 0.231 0.104 [1 per cell]
O: 0.287 0.858 0.326 [1 per cell]
O: 0.293 0.217 0.825 [1 per cell]
O: 0.310 0.826 0.718 [1 per cell]
O: 0.333 0.203 0.217 [1 per cell]
O: 0.340 0.828 0.997 [1 per cell]
O: 0.342 0.179 0.505 [1 per cell]
O: 0.428 0.419 0.554 [1 per cell]
O: 0.441 0.548 0.053 [1 per cell]
O: 0.459 0.561 0.662 [1 per cell]
O: 0.461 0.566 0.941 [1 per cell]
O: 0.463 0.337 0.156 [1 per cell]
O: 0.465 0.397 0.837 [1 per cell]
O: 0.468 0.501 0.336 [1 per cell]
O: 0.469 0.043 0.001 [1 per cell]
O: 0.470 0.851 0.223 [1 per cell]
O: 0.475 0.845 0.507 [1 per cell]
O: 0.501 0.306 0.438 [1 per cell]
O: 0.504 0.845 0.822 [1 per cell]
O: 0.508 0.997 0.322 [1 per cell]
O: 0.515 0.018 0.719 [1 per cell]
O: 0.519 0.858 0.101 [1 per cell]
O: 0.529 0.996 0.607 [1 per cell]
O: 0.588 0.581 0.438 [1 per cell]
O: 0.601 0.188 0.933 [1 per cell]
O: 0.612 0.556 0.164 [1 per cell]
O: 0.634 0.168 0.662 [1 per cell]
O: 0.675 0.151 0.328 [1 per cell]
O: 0.687 0.497 0.839 [1 per cell]
O: 0.694 0.148 0.050 [1 per cell]
O: 0.719 0.513 0.553 [1 per cell]
O: 0.764 0.876 0.384 [1 per cell]
O: 0.769 0.725 0.891 [1 per cell]
O: 0.794 0.843 0.665 [1 per cell]
O: 0.798 0.163 0.833 [1 per cell]
O: 0.801 0.720 0.171 [1 per cell]
O: 0.801 0.894 0.272 [1 per cell]
O: 0.807 0.375 0.335 [1 per cell]
O: 0.808 0.130 0.553 [1 per cell]
O: 0.816 0.687 0.482 [1 per cell]
O: 0.818 0.414 0.056 [1 per cell]
O: 0.823 0.862 0.988 [1 per cell]
O: 0.837 0.191 0.163 [1 per cell]
O: 0.840 0.623 0.772 [1 per cell]
O: 0.851 0.336 0.662 [1 per cell]
O: 0.855 0.197 0.434 [1 per cell]
O: 0.856 0.306 0.937 [1 per cell]
O: 0.923 0.889 0.772 [1 per cell]
O: 0.954 0.518 0.266 [1 per cell]
O: 0.972 0.863 0.483 [1 per cell]
O: 0.973 0.526 0.987 [1 per cell]

[11]
Ba3In2Cl2O5: optimized geometry, PBE.

Output
- Energy relative to the elements: -2.478 eV/atom
- Total magnetization: 0.00 μB per formula unit
- Electronic total energy: -5.4998 eV/atom

Lattice parameters (Å, degrees): 4.301 4.301 25.504 90.00 90.00 90.00
Space group I4/mmm (No. 139)
Inequivalent atoms, fractional coordinates:
Ba: 0.000 0.000 0.000 [2 per cell]
Ba: 0.000 0.000 0.161 [4 per cell]
In: 0.000 0.000 0.418 [4 per cell]
Cl: 0.000 0.000 0.295 [4 per cell]
O: 0.000 0.000 0.500 [2 per cell]
O: 0.000 0.500 0.094 [8 per cell]